First-principles (PBE) data for a geometry-optimized Na8Ca3Si3SnS3O24 structure, as listed in the Materials Project.

Cell lengths 9.4712, 9.4823, 22.9850 Å; angles 89.32, 89.70, 60.11 degrees
Positions (direct):
1 Na 0.0000 0.0000 0.0000
2 Na 0.0025 0.6413 0.2350
3 Na 0.0237 0.3390 0.1660
4 Na 0.0293 0.6292 0.7482
5 Na 0.0503 0.9688 0.6554
6 Na 0.2860 0.3292 0.6786
7 Na 0.3203 0.9734 0.5816
8 Na 0.3228 0.6165 0.8450
9 Na 0.3349 0.6630 0.1528
10 Na 0.3372 0.3590 0.3175
11 Na 0.3631 0.9736 0.0802
12 Na 0.3804 0.6690 0.5131
13 Na 0.3980 0.2831 0.0007
14 Na 0.6079 0.6705 0.0151
15 Na 0.6368 0.3212 0.9292
16 Na 0.6418 0.9728 0.1482
17 Na 0.6541 0.6771 0.6561
18 Na 0.6604 0.0002 0.4985
19 Na 0.6778 0.0082 0.8536
20 Na 0.6881 0.3263 0.4293
21 Na 0.7096 0.6152 0.3290
22 Na 0.9643 0.9904 0.3422
23 Na 0.9754 0.2852 0.5064
24 Na 0.9958 0.3547 0.8279
25 Ca 0.0042 0.6580 0.9007
26 Ca 0.3304 0.9969 0.7332
27 Ca 0.3351 0.9833 0.4377
28 Ca 0.3390 0.9893 0.2304
29 Ca 0.3479 0.9956 0.9337
30 Ca 0.6535 0.3423 0.2515
31 Ca 0.6585 0.3288 0.0694
32 Ca 0.6651 0.3292 0.5671
33 Ca 0.9975 0.6616 0.4026
34 Si 0.2997 0.6640 0.9971
35 Si 0.3442 0.3339 0.1653
36 Si 0.3456 0.2989 0.8258
37 Si 0.3520 0.6295 0.6611
38 Si 0.6797 0.6344 0.1644
39 Si 0.7018 0.6596 0.4987
40 Si 0.7046 0.9563 0.9978
41 Si 0.9629 0.3327 0.6636
42 Si 0.9984 0.9563 0.4987
43 Sn 0.0005 0.6551 0.5983
44 Sn 0.0025 0.6587 0.0945
45 Sn 0.6516 0.3432 0.7578
46 S 0.0021 0.3576 0.9993
47 S 0.0184 0.0032 0.8288
48 S 0.0311 0.2920 0.3332
49 S 0.2954 0.3589 0.4995
50 S 0.3364 0.6844 0.3329
51 S 0.6380 0.6783 0.8284
52 S 0.6379 0.9958 0.3322
53 S 0.6771 0.0214 0.6664
54 S 0.9703 0.0142 0.1672
55 O 0.0169 0.4570 0.3322
56 O 0.0218 0.4421 0.0518
57 O 0.0230 0.8324 0.5572
58 O 0.0968 0.0215 0.8815
59 O 0.1161 0.1993 0.3865
60 O 0.1197 0.9805 0.7767
61 O 0.1246 0.2064 0.2807
62 O 0.1373 0.9883 0.1721
63 O 0.1471 0.1825 0.6718
64 O 0.1529 0.1976 0.9967
65 O 0.1585 0.9800 0.5041
66 O 0.1663 0.5100 0.1554
67 O 0.1684 0.6393 0.6601
68 O 0.1823 0.6790 0.0558
69 O 0.1831 0.4817 0.8282
70 O 0.1919 0.4415 0.5527
71 O 0.1917 0.6608 0.3350
72 O 0.2206 0.6398 0.9384
73 O 0.2219 0.4565 0.4464
74 O 0.2992 0.1887 0.1702
75 O 0.3019 0.8362 0.0001
76 O 0.3048 0.1988 0.4974
77 O 0.3188 0.7829 0.2801
78 O 0.3262 0.2134 0.7685
79 O 0.3316 0.8099 0.6681
80 O 0.3465 0.7682 0.3855
81 O 0.3836 0.1892 0.8852
82 O 0.4106 0.3751 0.2254
83 O 0.4386 0.5090 0.7205
84 O 0.4570 0.5471 0.6043
85 O 0.4601 0.3374 0.5052
86 O 0.4714 0.2931 0.1123
87 O 0.4839 0.5068 0.0021
88 O 0.4887 0.5217 0.3307
89 O 0.5168 0.8163 0.1665
90 O 0.5227 0.3106 0.8215
91 O 0.5227 0.9764 0.0042
92 O 0.5280 0.8328 0.5034
93 O 0.5375 0.9926 0.6738
94 O 0.5379 0.7558 0.8802
95 O 0.5442 0.0102 0.3860
96 O 0.5502 0.9859 0.2807
97 O 0.5612 0.7729 0.7750
98 O 0.6508 0.1169 0.6130
99 O 0.6522 0.5106 0.8254
100 O 0.6575 0.5405 0.1100
101 O 0.6589 0.1421 0.3280
102 O 0.6699 0.5056 0.5020
103 O 0.6957 0.1085 0.7181
104 O 0.7004 0.1308 0.0023
105 O 0.7212 0.5279 0.2255
106 O 0.7945 0.8732 0.9373
107 O 0.8020 0.8452 0.3330
108 O 0.8030 0.6762 0.5579
109 O 0.8050 0.6541 0.8328
110 O 0.8054 0.8371 0.0556
111 O 0.8056 0.6347 0.4399
112 O 0.8278 0.1304 0.5025
113 O 0.8313 0.8607 0.6650
114 O 0.8385 0.3637 0.7234
115 O 0.8453 0.6553 0.1561
116 O 0.8546 0.1588 0.8230
117 O 0.8593 0.3366 0.0064
118 O 0.8655 0.3075 0.3329
119 O 0.8718 0.0928 0.2200
120 O 0.8844 0.2996 0.6080
121 O 0.8934 0.1149 0.1150
122 O 0.9670 0.5098 0.6617
123 O 0.9793 0.4543 0.9456
124 O 0.9808 0.8508 0.1632
125 O 0.9887 0.8763 0.4379
126 O 0.9904 0.8627 0.8327

Properties
**Total DFT energy (no corrections)**: -6.14 eV/atom

First-principles (PBE) data for a geometry-optimized Na14Ca2Si9Sn6S3O48 structure, as listed in the Materials Project.

Cell lengths 9.2464, 15.9110, 22.6957 Å; angles 90.09, 90.25, 90.10 degrees
Positions (direct):
1 Na 0.0000 0.0000 0.0000
2 Na 0.0033 0.6485 0.3337
3 Na 0.1125 0.1499 0.8408
4 Na 0.1157 0.4993 0.4957
5 Na 0.1240 0.8211 0.1731
6 Na 0.1269 0.7944 0.8380
7 Na 0.1288 0.4594 0.1736
8 Na 0.1380 0.1140 0.5002
9 Na 0.1710 0.4832 0.8435
10 Na 0.1837 0.8166 0.5064
11 Na 0.2974 0.6334 0.4214
12 Na 0.3058 0.3110 0.2511
13 Na 0.3070 0.9700 0.5805
14 Na 0.3137 0.6378 0.9219
15 Na 0.3152 0.9833 0.0881
16 Na 0.3193 0.3199 0.7489
17 Na 0.4308 0.4761 0.3273
18 Na 0.4398 0.1484 0.6698
19 Na 0.4483 0.8142 0.0035
20 Na 0.4839 0.1212 0.0084
21 Na 0.4877 0.7967 0.3276
22 Na 0.4899 0.1545 0.3397
23 Na 0.5077 0.4932 0.0040
24 Na 0.6073 0.9925 0.4962
25 Na 0.6233 0.2983 0.8334
26 Na 0.6239 0.6523 0.8439
27 Na 0.6294 0.6190 0.5045
28 Na 0.6618 0.3161 0.4978
29 Na 0.6681 0.6407 0.1683
30 Na 0.6787 0.9741 0.8403
31 Na 0.7958 0.8166 0.2469
32 Na 0.7992 0.4844 0.5865
33 Na 0.8006 0.1402 0.4147
34 Na 0.8008 0.4716 0.0851
35 Na 0.8130 0.8009 0.7575
36 Na 0.8157 0.1359 0.9264
37 Na 0.9339 0.3192 0.0112
38 Na 0.9433 0.9829 0.3392
39 Na 0.9795 0.6141 0.0055
40 Na 0.9871 0.2970 0.3328
41 Na 0.9910 0.3244 0.6731
42 Na 0.9963 0.9587 0.6680
43 Ca 0.3022 0.6386 0.2631
44 Ca 0.3096 0.9728 0.9386
45 Ca 0.3143 0.9807 0.4397
46 Ca 0.7996 0.4813 0.9405
47 Ca 0.8024 0.4716 0.4363
48 Ca 0.8148 0.1433 0.7659
49 Si 0.0000 0.9754 0.8416
50 Si 0.0052 0.6446 0.1709
51 Si 0.1079 0.4761 0.3417
52 Si 0.1129 0.1425 0.6715
53 Si 0.1532 0.4962 0.6705
54 Si 0.1534 0.7884 0.6693
55 Si 0.1588 0.1245 0.3397
56 Si 0.1633 0.1662 0.0045
57 Si 0.1630 0.4619 0.0081
58 Si 0.4471 0.4571 0.5061
59 Si 0.4530 0.7960 0.1737
60 Si 0.4540 0.8256 0.8350
61 Si 0.4579 0.1679 0.5092
62 Si 0.4640 0.4855 0.1728
63 Si 0.5045 0.4741 0.8362
64 Si 0.5159 0.8041 0.5100
65 Si 0.6016 0.3031 0.0081
66 Si 0.6093 0.9742 0.3372
67 Si 0.6541 0.6681 0.0079
68 Si 0.6600 0.2954 0.6735
69 Si 0.6613 0.3242 0.3367
70 Si 0.6679 0.9571 0.0054
71 Si 0.9489 0.9603 0.5096
72 Si 0.9535 0.6633 0.5030
73 Si 0.9554 0.6245 0.8388
74 Si 0.9602 0.9959 0.1709
75 Si 0.9610 0.2867 0.1692
76 Sn 0.2888 0.9656 0.7369
77 Sn 0.2931 0.6426 0.5678
78 Sn 0.2954 0.6414 0.7694
79 Sn 0.3041 0.3107 0.1062
80 Sn 0.3130 0.9801 0.2352
81 Sn 0.3165 0.3142 0.6101
82 Sn 0.3169 0.6381 0.0768
83 Sn 0.3189 0.3172 0.9130
84 Sn 0.3212 0.3115 0.3990
85 Sn 0.7944 0.8102 0.9009
86 Sn 0.7963 0.8134 0.1104
87 Sn 0.7961 0.8146 0.4105
88 Sn 0.8005 0.4800 0.7353
89 Sn 0.8091 0.1447 0.5727
90 Sn 0.8149 0.4645 0.2314
91 Sn 0.8155 0.8050 0.6038
92 Sn 0.8175 0.1411 0.2690
93 Sn 0.8215 0.1424 0.0682
94 S 0.0179 0.3058 0.5069
95 S 0.0955 0.8057 0.0060
96 S 0.1515 0.8277 0.3395
97 S 0.4506 0.1267 0.8361
98 S 0.5150 0.1423 0.1705
99 S 0.6009 0.6445 0.6705
100 S 0.6530 0.9894 0.6705
101 S 0.6626 0.6300 0.3387
102 S 0.9621 0.3284 0.8386
103 O 0.0018 0.4606 0.2817
104 O 0.0035 0.1197 0.6144
105 O 0.0041 0.8169 0.0589
106 O 0.0058 0.7956 0.9512
107 O 0.0151 0.4912 0.4001
108 O 0.0277 0.1631 0.7308
109 O 0.0879 0.6702 0.2305
110 O 0.0981 0.9576 0.7794
111 O 0.1002 0.9955 0.8973
112 O 0.1070 0.2941 0.4532
113 O 0.1073 0.3154 0.5608
114 O 0.1140 0.6255 0.1135
115 O 0.1220 0.9669 0.5074
116 O 0.1242 0.3197 0.8410
117 O 0.1314 0.6397 0.8290
118 O 0.1332 0.6619 0.5051
119 O 0.1371 0.9845 0.1796
120 O 0.1384 0.2975 0.1671
121 O 0.1617 0.0701 0.3990
122 O 0.1785 0.8802 0.2856
123 O 0.1828 0.5523 0.6113
124 O 0.1849 0.7282 0.0093
125 O 0.1852 0.7354 0.7289
126 O 0.1871 0.2249 0.9427
127 O 0.1894 0.8809 0.0034
128 O 0.1948 0.4008 0.0636
129 O 0.2001 0.3850 0.3421
130 O 0.2093 0.8675 0.3926
131 O 0.2117 0.2269 0.6613
132 O 0.2141 0.3984 0.6649
133 O 0.2173 0.5564 0.3377
134 O 0.2179 0.7434 0.3346
135 O 0.2221 0.0579 0.6772
136 O 0.2231 0.8851 0.6724
137 O 0.2244 0.7471 0.6104
138 O 0.2317 0.0728 0.0048
139 O 0.2317 0.5353 0.7289
140 O 0.2375 0.2181 0.3444
141 O 0.2407 0.2122 0.0597
142 O 0.2414 0.4250 0.9459
143 O 0.2452 0.5554 0.0115
144 O 0.2491 0.0797 0.2844
145 O 0.3667 0.8881 0.1748
146 O 0.3684 0.4179 0.4457
147 O 0.3678 0.5500 0.5114
148 O 0.3704 0.7511 0.1153
149 O 0.3750 0.2104 0.8387
150 O 0.3765 0.8534 0.8950
151 O 0.3801 0.2121 0.5653
152 O 0.3841 0.3935 0.1653
153 O 0.3856 0.5199 0.2309
154 O 0.3897 0.0841 0.7819
155 O 0.3921 0.0742 0.5087
156 O 0.3918 0.7303 0.8215
157 O 0.4003 0.3855 0.8408
158 O 0.4018 0.5574 0.8245
159 O 0.4117 0.8847 0.5064
160 O 0.4159 0.3954 0.5609
161 O 0.4221 0.2174 0.1675
162 O 0.4230 0.0645 0.1736
163 O 0.4239 0.7152 0.5152
164 O 0.4248 0.0767 0.8891
165 O 0.4332 0.8974 0.7813
166 O 0.4346 0.2256 0.4487
167 O 0.4372 0.7442 0.2338
168 O 0.4433 0.5486 0.1138
169 O 0.4733 0.6664 0.0122
170 O 0.4814 0.3180 0.3375
171 O 0.4838 0.3009 0.6663
172 O 0.4853 0.3198 0.0592
173 O 0.4926 0.9862 0.6743
174 O 0.4940 0.9670 0.0048
175 O 0.4946 0.9518 0.2829
176 O 0.5051 0.6441 0.3338
177 O 0.5106 0.6340 0.6169
178 O 0.5122 0.2820 0.9440
179 O 0.5126 0.6536 0.7244
180 O 0.5315 0.9946 0.3985
181 O 0.5851 0.4948 0.8968
182 O 0.6039 0.1510 0.2250
183 O 0.6055 0.1315 0.1172
184 O 0.6078 0.7836 0.4480
185 O 0.6087 0.1391 0.8313
186 O 0.6168 0.4508 0.7812
187 O 0.6211 0.4673 0.5052
188 O 0.6295 0.8008 0.1663
189 O 0.6287 0.8232 0.5638
190 O 0.6332 0.8197 0.8372
191 O 0.6395 0.1642 0.5144
192 O 0.6426 0.4880 0.1769
193 O 0.6734 0.2401 0.7322
194 O 0.6773 0.7243 0.9461
195 O 0.6817 0.0442 0.6174
196 O 0.6875 0.3949 0.2847
197 O 0.6880 0.5813 0.3924
198 O 0.6925 0.2137 0.0131
199 O 0.6940 0.5676 0.6734
200 O 0.6946 0.7210 0.6678
201 O 0.7021 0.8947 0.0592
202 O 0.7057 0.3837 0.0048
203 O 0.7132 0.0570 0.3256
204 O 0.7130 0.8860 0.3409
205 O 0.7185 0.0267 0.7237
206 O 0.7213 0.5750 0.0074
207 O 0.7206 0.9054 0.6646
208 O 0.7234 0.2283 0.3235
209 O 0.7244 0.5888 0.2855
210 O 0.7340 0.3479 0.3991
211 O 0.7337 0.7138 0.0629
212 O 0.7402 0.7147 0.3418
213 O 0.7441 0.9196 0.9439
214 O 0.7450 0.2503 0.6155
215 O 0.7472 0.3868 0.6753
216 O 0.7481 0.0499 0.0108
217 O 0.8652 0.0538 0.5127
218 O 0.8655 0.5816 0.7821
219 O 0.8699 0.9211 0.4492
220 O 0.8759 0.7056 0.5602
221 O 0.8771 0.7182 0.8437
222 O 0.8828 0.0348 0.2294
223 O 0.8838 0.2462 0.1107
224 O 0.8858 0.5701 0.5033
225 O 0.8869 0.0534 0.8359
226 O 0.8949 0.2437 0.8342
227 O 0.8953 0.3831 0.1714
228 O 0.8992 0.8984 0.1650
229 O 0.9019 0.7279 0.1607
230 O 0.9037 0.3688 0.8909
231 O 0.9044 0.5586 0.1762
232 O 0.9110 0.8843 0.8431
233 O 0.9163 0.9043 0.5687
234 O 0.9227 0.3793 0.5046
235 O 0.9260 0.2343 0.2292
236 O 0.9280 0.2263 0.5102
237 O 0.9286 0.7255 0.4441
238 O 0.9312 0.0516 0.1114
239 O 0.9339 0.3795 0.7839
240 O 0.9523 0.5689 0.8972
241 O 0.9734 0.8044 0.6677
242 O 0.9765 0.4836 0.6793
243 O 0.9830 0.1383 0.3292
244 O 0.9836 0.1627 0.0059
245 O 0.9884 0.8198 0.3419
246 O 0.9900 0.4683 0.0057

Properties
**Total DFT energy (no corrections)**: -6.31 eV/atom

Question: The highest total DFT energy (no corrections) belongs to which entry?
Answer: Na8Ca3Si3SnS3O24

Question: Among the records above, which one has the highest total DFT energy (no corrections)?
Answer: Na8Ca3Si3SnS3O24

Question: Among the records above, which one has the highest total DFT energy (no corrections)?
Answer: Na8Ca3Si3SnS3O24

Question: Which of these has the lowest total DFT energy (no corrections)?
Answer: Na14Ca2Si9Sn6S3O48